1.
DFT (GGA-PBE) results for a geometry-optimized Ca3SiBr2 structure.

Cell: 4.5596 4.5596 11.0957 Å, 90.00 90.00 120.00°
Sites, in units of the cell vectors:
Ca  0.0000  0.0000  0.0000
Ca  0.3333  0.6667  0.6134
Ca  0.6667  0.3333  0.3866
Si  0.0000  0.0000  0.5000
Br  0.3333  0.6667  0.1295
Br  0.6667  0.3333  0.8705

## Properties
Formation energy   -1.251 eV/atom


2.
DFT (GGA-PBE) results for a geometry-optimized Cu3P4H8N2O12F4 structure.

Cell: 7.9933 9.6764 9.2273 Å, 90.00 94.73 90.00°
Sites, in units of the cell vectors:
Cu  0.0000  0.0000  0.0000
Cu  0.0000  0.5000  0.5000
Cu  0.1135  0.1454  0.6816
Cu  0.1135  0.3546  0.1816
Cu  0.8865  0.6454  0.8184
Cu  0.8865  0.8546  0.3184
P  0.1052  0.6913  0.1125
P  0.1052  0.8087  0.6125
P  0.3127  0.1771  0.9795
P  0.3127  0.3229  0.4795
P  0.6873  0.6771  0.5205
P  0.6873  0.8229  0.0205
P  0.8948  0.1913  0.3875
P  0.8948  0.3087  0.8875
H  0.2953  0.6144  0.8552
H  0.2953  0.8856  0.3552
H  0.3179  0.5027  0.7187
H  0.3179  0.9973  0.2187
H  0.3741  0.0411  0.3924
H  0.3741  0.4589  0.8924
H  0.4913  0.5774  0.8044
H  0.4913  0.9226  0.3044
H  0.5087  0.0774  0.6956
H  0.5087  0.4226  0.1956
H  0.6259  0.5411  0.1076
H  0.6259  0.9589  0.6076
H  0.6821  0.0027  0.7813
H  0.6821  0.4973  0.2813
H  0.7047  0.1144  0.6448
H  0.7047  0.3856  0.1448
N  0.3733  0.5391  0.8184
N  0.3733  0.9609  0.3184
N  0.6267  0.0391  0.6816
N  0.6267  0.4609  0.1816
O  0.0301  0.6639  0.6449
O  0.0301  0.8361  0.1449
O  0.0564  0.5812  0.2153
O  0.0564  0.9188  0.7153
O  0.0901  0.6619  0.9492
O  0.0901  0.8381  0.4492
O  0.2214  0.0641  0.0592
O  0.2214  0.4359  0.5592
O  0.2676  0.1749  0.5217
O  0.2676  0.3251  0.0217
O  0.3171  0.1570  0.8159
O  0.3171  0.3430  0.3159
O  0.6829  0.6570  0.6841
O  0.6829  0.8430  0.1841
O  0.7324  0.6749  0.9783
O  0.7324  0.8251  0.4783
O  0.7786  0.5641  0.4408
O  0.7786  0.9359  0.9408
O  0.9099  0.1619  0.5508
O  0.9099  0.3381  0.0508
O  0.9436  0.0812  0.2847
O  0.9436  0.4188  0.7847
O  0.9699  0.1639  0.8551
O  0.9699  0.3361  0.3551
F  0.3036  0.7126  0.1442
F  0.3036  0.7874  0.6442
F  0.4990  0.6558  0.4564
F  0.4990  0.8442  0.9564
F  0.5010  0.1558  0.0436
F  0.5010  0.3442  0.5436
F  0.6964  0.2126  0.3558
F  0.6964  0.2874  0.8558

## Properties
Formation energy   -1.780 eV/atom


3.
DFT (GGA-PBE) results for a geometry-optimized Bi2Te2S structure.

Cell: 10.3604 10.3604 10.3604 Å, 24.05 24.05 24.05°
Sites, in units of the cell vectors:
Bi  0.0000  0.0000  0.0000
Bi  0.1927  0.1927  0.1927
Te  0.3921  0.3921  0.3921
Te  0.5944  0.5944  0.5944
S  0.8161  0.8161  0.8161

## Properties
Formation energy   -0.334 eV/atom


4.
DFT (GGA-PBE) results for a geometry-optimized NpGa5Fe structure.

Cell: 4.3331 4.3331 6.6621 Å, 90.00 90.00 90.00°
Sites, in units of the cell vectors:
Np  0.0000  0.0000  0.0000
Ga  0.0000  0.5000  0.3079
Ga  0.0000  0.5000  0.6921
Ga  0.5000  0.0000  0.3079
Ga  0.5000  0.0000  0.6921
Ga  0.5000  0.5000  0.0000
Fe  0.0000  0.0000  0.5000

## Properties
Formation energy   -0.145 eV/atom


5.
DFT (GGA-PBE) results for a geometry-optimized Mn7Sb4 structure.

Cell: 4.4425 4.4425 10.9060 Å, 90.00 90.00 120.00°
Sites, in units of the cell vectors:
Mn  0.0000  0.0000  0.0000
Mn  0.3333  0.6667  0.1255
Mn  0.3333  0.6667  0.3742
Mn  0.3333  0.6667  0.6258
Mn  0.3333  0.6667  0.8745
Mn  0.6667  0.3333  0.2435
Mn  0.6667  0.3333  0.7565
Sb  0.0000  0.0000  0.2590
Sb  0.0000  0.0000  0.7410
Sb  0.6667  0.3333  0.0000
Sb  0.6667  0.3333  0.5000

## Properties
Formation energy   0.083 eV/atom


6.
DFT (GGA-PBE) results for a geometry-optimized MnCoSn4 structure.

Cell: 5.3719 5.3719 5.3719 Å, 104.75 104.75 119.40°
Sites, in units of the cell vectors:
Mn  0.0000  0.0000  0.0000
Co  0.5000  0.5000  0.0000
Sn  0.0860  0.5860  0.1720
Sn  0.4140  0.9140  0.8280
Sn  0.5860  0.4140  0.5000
Sn  0.9140  0.0860  0.5000

## Properties
Formation energy   -0.016 eV/atom


7.
DFT (GGA-PBE) results for a geometry-optimized NaEuHfSnO6 structure.

Cell: 5.7891 5.7891 5.7891 Å, 60.00 60.00 60.00°
Sites, in units of the cell vectors:
Na  0.0000  0.0000  0.0000
Eu  0.5000  0.5000  0.5000
Hf  0.7500  0.7500  0.7500
Sn  0.2500  0.2500  0.2500
O  0.0002  0.0002  0.4998
O  0.0002  0.4998  0.0002
O  0.0002  0.4998  0.4998
O  0.4998  0.0002  0.0002
O  0.4998  0.0002  0.4998
O  0.4998  0.4998  0.0002

## Properties
Formation energy   -2.818 eV/atom


8.
DFT (GGA-PBE) results for a geometry-optimized IrRh3 structure.

Cell: 4.7271 4.7271 4.7271 Å, 131.93 131.93 70.34°
Sites, in units of the cell vectors:
Ir  0.0000  0.0000  0.0000
Rh  0.2500  0.7500  0.5000
Rh  0.5000  0.5000  0.0000
Rh  0.7500  0.2500  0.5000

## Properties
Formation energy   0.002 eV/atom


9.
DFT (GGA-PBE) results for a geometry-optimized Na10Hf4In4Si7S5O48 structure.

Cell: 9.1155 15.8989 22.7670 Å, 90.29 90.16 90.20°
Sites, in units of the cell vectors:
Na  0.0000  0.0000  0.0000
Na  0.0003  0.6644  0.6700
Na  0.0040  0.3339  0.3383
Na  0.1237  0.1840  0.4078
Na  0.1263  0.5269  0.7418
Na  0.1427  0.8465  0.0696
Na  0.1549  0.1880  0.9044
Na  0.1583  0.5395  0.2383
Na  0.1632  0.8514  0.5751
Na  0.2825  0.9989  0.5075
Na  0.3158  0.0032  0.1515
Na  0.3225  0.3599  0.1495
Na  0.3259  0.6948  0.4857
Na  0.4474  0.1937  0.9813
Na  0.4504  0.5266  0.3181
Na  0.4551  0.1717  0.3210
Na  0.4586  0.5051  0.6509
Na  0.4991  0.4990  0.0003
Na  0.6006  0.0352  0.7364
Na  0.6288  0.6892  0.4106
Na  0.6419  0.3450  0.0720
Na  0.6468  0.3597  0.5670
Na  0.6562  0.6886  0.9036
Na  0.6762  0.0357  0.2368
Na  0.8179  0.5000  0.1519
Na  0.8243  0.1927  0.4841
Na  0.8257  0.8588  0.1443
Na  0.9485  0.6939  0.9802
Na  0.9509  0.3593  0.6447
Na  0.9594  0.0030  0.6526
Hf  0.1240  0.5084  0.8899
Hf  0.1279  0.1740  0.5567
Hf  0.1363  0.8359  0.2234
Hf  0.1474  0.1728  0.0569
Hf  0.1473  0.8386  0.7232
Hf  0.1483  0.5070  0.3924
Hf  0.6236  0.3375  0.2235
Hf  0.6252  0.0076  0.8895
Hf  0.6252  0.6716  0.5564
Hf  0.6396  0.3342  0.7238
Hf  0.6482  0.6738  0.0565
Hf  0.6514  0.0043  0.3914
In  0.1283  0.8432  0.9254
In  0.1301  0.1703  0.2613
In  0.1375  0.5105  0.0938
In  0.1388  0.5077  0.5907
In  0.1456  0.8415  0.4286
In  0.1517  0.1665  0.7609
In  0.6270  0.6725  0.2595
In  0.6276  0.3429  0.9259
In  0.6378  0.0058  0.5959
In  0.6385  0.0106  0.0930
In  0.6394  0.3439  0.4287
In  0.6495  0.6685  0.7601
Si  0.2793  0.3619  0.9942
Si  0.2899  0.6944  0.3305
Si  0.2911  0.0247  0.6591
Si  0.3409  0.0055  0.9960
Si  0.3407  0.3412  0.3260
Si  0.3446  0.6748  0.6611
Si  0.4360  0.1732  0.1631
Si  0.4397  0.5070  0.4962
Si  0.4855  0.1926  0.8303
Si  0.4860  0.5260  0.1614
Si  0.4964  0.8616  0.4925
Si  0.7800  0.8615  0.9939
Si  0.7836  0.1935  0.3299
Si  0.7894  0.5276  0.6604
Si  0.8403  0.5054  0.9961
Si  0.8463  0.1742  0.6630
Si  0.9311  0.6742  0.1619
Si  0.9370  0.0056  0.4970
Si  0.9862  0.6933  0.8280
Si  0.9873  0.0261  0.1595
Si  0.9908  0.3588  0.4940
S  0.2875  0.6561  0.9917
S  0.2891  0.3211  0.6621
S  0.2933  0.9892  0.3269
S  0.4325  0.8427  0.8276
S  0.4826  0.4915  0.8268
S  0.4859  0.8211  0.1609
S  0.4891  0.1531  0.4914
S  0.7881  0.1564  0.9914
S  0.7883  0.8205  0.6621
S  0.7897  0.4909  0.3244
S  0.8435  0.8440  0.3255
S  0.9323  0.3436  0.8264
S  0.9824  0.9916  0.8277
S  0.9845  0.6569  0.4936
S  0.9854  0.3211  0.1614
O  0.0140  0.0819  0.2174
O  0.0225  0.2672  0.1099
O  0.0225  0.4080  0.5552
O  0.0229  0.4229  0.8299
O  0.0246  0.6024  0.4430
O  0.0261  0.7398  0.8904
O  0.0288  0.2709  0.8227
O  0.0289  0.7623  0.1674
O  0.0293  0.9410  0.7757
O  0.0315  0.5908  0.1573
O  0.0361  0.0946  0.4975
O  0.0401  0.0783  0.8263
O  0.0398  0.9540  0.8832
O  0.0423  0.2852  0.2167
O  0.0443  0.6225  0.5498
O  0.0463  0.4124  0.4354
O  0.0519  0.7414  0.4884
O  0.0523  0.9287  0.4873
O  0.0531  0.4056  0.1567
O  0.0542  0.0731  0.0996
O  0.0541  0.7480  0.7720
O  0.0666  0.5989  0.8306
O  0.0764  0.2656  0.4960
O  0.0800  0.9344  0.1656
O  0.1901  0.9354  0.6655
O  0.2007  0.2678  0.9986
O  0.2125  0.5996  0.3311
O  0.2183  0.6214  0.0454
O  0.2190  0.0744  0.6005
O  0.2191  0.4174  0.9381
O  0.2247  0.7513  0.2753
O  0.2264  0.4067  0.6578
O  0.2256  0.9279  0.9867
O  0.2287  0.2836  0.7154
O  0.2308  0.2602  0.3214
O  0.2311  0.7421  0.9861
O  0.2321  0.5935  0.6575
O  0.2364  0.0767  0.3265
O  0.2367  0.7580  0.6678
O  0.2369  0.9495  0.3810
O  0.2390  0.4269  0.3337
O  0.2401  0.0940  0.9978
O  0.2468  0.9411  0.2736
O  0.2533  0.6022  0.9396
O  0.2558  0.7413  0.3923
O  0.2583  0.2695  0.6088
O  0.2632  0.4167  0.0545
O  0.2669  0.0782  0.7181
O  0.3070  0.1854  0.8268
O  0.3110  0.5055  0.1572
O  0.3174  0.8437  0.4911
O  0.3192  0.4943  0.8283
O  0.3220  0.1868  0.1068
O  0.3221  0.8315  0.1645
O  0.3231  0.5206  0.4411
O  0.3264  0.1551  0.4958
O  0.3359  0.8525  0.7749
O  0.3414  0.1623  0.2229
O  0.3440  0.8363  0.8814
O  0.3518  0.5018  0.5583
O  0.4239  0.9946  0.0587
O  0.4383  0.3604  0.2656
O  0.4400  0.6870  0.6003
O  0.4498  0.6566  0.9973
O  0.4529  0.3219  0.3784
O  0.4531  0.3320  0.6663
O  0.4531  0.6577  0.7160
O  0.4563  0.9946  0.3277
O  0.4581  0.0237  0.9427
O  0.4592  0.3457  0.9918
O  0.4639  0.0053  0.6554
O  0.4699  0.6787  0.3272
O  0.5087  0.9273  0.5464
O  0.5098  0.5727  0.2244
O  0.5177  0.7690  0.1084
O  0.5208  0.1014  0.4370
O  0.5242  0.2383  0.8930
O  0.5236  0.9213  0.8303
O  0.5277  0.7690  0.8222
O  0.5285  0.4415  0.7745
O  0.5310  0.2621  0.1631
O  0.5326  0.5975  0.4949
O  0.5360  0.0896  0.1571
O  0.5386  0.4535  0.8822
O  0.5423  0.5780  0.8252
O  0.5439  0.4263  0.4897
O  0.5443  0.7840  0.2149
O  0.5507  0.2380  0.4876
O  0.5506  0.9061  0.1567
O  0.5549  0.5808  0.1053
O  0.5560  0.1144  0.5436
O  0.5557  0.2513  0.7772
O  0.5559  0.9110  0.4328
O  0.5655  0.0986  0.8311
O  0.5779  0.7699  0.4993
O  0.5813  0.4356  0.1616
O  0.6918  0.1022  0.3313
O  0.6973  0.4375  0.6692
O  0.6994  0.7679  0.9975
O  0.7076  0.2496  0.2757
O  0.7111  0.5781  0.6051
O  0.7188  0.1217  0.0453
O  0.7205  0.9177  0.9383
O  0.7250  0.4497  0.3759
O  0.7261  0.4276  0.9865
O  0.7268  0.5763  0.3228
O  0.7278  0.7848  0.7164
O  0.7324  0.2425  0.9861
O  0.7375  0.5932  0.9985
O  0.7387  0.9077  0.6575
O  0.7447  0.7715  0.3213
O  0.7466  0.0903  0.6575
O  0.7479  0.2625  0.6679
O  0.7539  0.1023  0.9396
O  0.7550  0.7676  0.6100
O  0.7561  0.4418  0.2694
O  0.7560  0.9238  0.3282
O  0.7633  0.2455  0.3910
O  0.7628  0.9152  0.0546
O  0.7906  0.5908  0.7164
O  0.8069  0.6853  0.8260
O  0.8130  0.0030  0.1562
O  0.8145  0.3378  0.4927
O  0.8194  0.9933  0.8295
O  0.8206  0.0217  0.4421
O  0.8232  0.3315  0.1634
O  0.8233  0.6636  0.2172
O  0.8234  0.6641  0.4962
O  0.8287  0.6923  0.1027
O  0.8394  0.3535  0.7723
O  0.8398  0.3379  0.8793
O  0.8513  0.9961  0.5585
O  0.9240  0.4956  0.0584
O  0.9357  0.8369  0.3784
O  0.9372  0.8524  0.2712
O  0.9505  0.1572  0.9970
O  0.9498  0.1923  0.6039
O  0.9534  0.1661  0.7187
O  0.9526  0.4944  0.3291
O  0.9552  0.8233  0.6660
O  0.9568  0.5249  0.9426
O  0.9597  0.8443  0.9917
O  0.9608  0.1853  0.3242
O  0.9649  0.5073  0.6537

## Properties
Formation energy   -2.648 eV/atom


10.
DFT (GGA-PBE) results for a geometry-optimized NaYGeO4 structure.

Cell: 11.5320 6.5265 5.3350 Å, 90.00 90.00 90.00°
Sites, in units of the cell vectors:
Na  0.0000  0.0000  0.0000
Na  0.0000  0.5000  0.0000
Na  0.5000  0.0000  0.5000
Na  0.5000  0.5000  0.5000
Y  0.2223  0.2500  0.4961
Y  0.2777  0.7500  0.9961
Y  0.7223  0.2500  0.0039
Y  0.7777  0.7500  0.5039
Ge  0.0973  0.7500  0.5543
Ge  0.4027  0.2500  0.0543
Ge  0.5973  0.7500  0.9457
Ge  0.9027  0.2500  0.4457
O  0.0453  0.2500  0.3258
O  0.1105  0.7500  0.2280
O  0.1739  0.5428  0.7077
O  0.1739  0.9572  0.7077
O  0.3261  0.0428  0.2077
O  0.3261  0.4572  0.2077
O  0.3895  0.2500  0.7280
O  0.4547  0.7500  0.8258
O  0.5453  0.2500  0.1742
O  0.6105  0.7500  0.2720
O  0.6739  0.5428  0.7923
O  0.6739  0.9572  0.7923
O  0.8261  0.0428  0.2923
O  0.8261  0.4572  0.2923
O  0.8895  0.2500  0.7720
O  0.9547  0.7500  0.6742

## Properties
Formation energy   -2.864 eV/atom